No. 1
A plane-wave DFT calculation with PBE was carried out for a relaxed structure of Na10La4Al4Si5S7O48.

Geometry as POSCAR:
```
Na10La4Al4Si5S7O48
1.0
-16.867 -4.697 5.200
4.289 -4.739 -6.599
8.337 -14.724 15.738
Na La Al Si S O
30 12 12 15 21 144
direct
0.328 0.999 0.251
0.817 0.986 0.259
0.188 0.386 0.242
0.666 0.352 0.248
0.994 0.639 0.265
0.496 0.618 0.259
0.831 0.652 0.735
0.989 0.355 0.751
0.494 0.347 0.755
0.174 0.996 0.734
0.020 0.715 0.588
0.330 0.990 0.594
0.025 0.327 0.086
0.510 0.333 0.091
0.159 0.302 0.930
0.663 0.299 0.931
0.165 0.017 0.426
0.661 0.038 0.421
0.990 0.993 0.509
0.513 0.994 0.487
0.004 0.007 0.002
0.508 0.004 0.010
0.348 0.332 0.836
0.851 0.318 0.827
0.354 0.365 0.341
0.844 0.362 0.343
0.178 0.660 0.175
0.678 0.658 0.164
0.172 0.678 0.669
0.687 0.721 0.651
0.985 0.982 0.355
0.985 0.984 0.844
0.495 0.023 0.847
0.515 0.011 0.638
0.994 0.998 0.164
0.820 0.327 0.180
0.341 0.335 0.992
0.833 0.333 0.989
0.174 0.657 0.022
0.170 0.669 0.520
0.163 0.666 0.812
0.672 0.697 0.811
0.481 0.959 0.344
0.010 0.996 0.650
0.498 0.023 0.159
0.331 0.324 0.677
0.830 0.307 0.680
0.340 0.362 0.188
0.341 0.359 0.486
0.847 0.363 0.489
0.659 0.636 0.018
0.655 0.727 0.514
0.161 0.643 0.318
0.642 0.599 0.321
0.355 0.712 0.250
0.827 0.682 0.257
0.005 0.328 0.251
0.493 0.279 0.253
0.988 0.679 0.735
0.349 0.023 0.736
0.858 0.011 0.734
0.190 0.071 0.581
0.705 0.067 0.574
0.189 0.332 0.092
0.663 0.321 0.084
0.009 0.346 0.917
0.524 0.378 0.917
0.016 0.644 0.420
0.515 0.666 0.415
0.163 0.002 0.254
0.631 0.984 0.254
0.155 0.291 0.739
0.665 0.308 0.748
0.487 0.672 0.744
0.477 0.357 0.578
0.970 0.322 0.584
0.335 0.603 0.584
0.833 0.620 0.582
0.488 0.649 0.092
0.991 0.655 0.087
0.341 0.037 0.098
0.821 0.987 0.082
0.325 0.662 0.913
0.809 0.671 0.924
0.168 0.981 0.916
0.661 0.955 0.926
0.323 0.971 0.411
0.801 0.954 0.420
0.179 0.377 0.413
0.666 0.378 0.420
0.126 0.039 0.305
0.591 0.012 0.307
0.415 0.774 0.306
0.907 0.764 0.300
0.476 0.136 0.303
0.986 0.185 0.300
0.127 0.202 0.796
0.634 0.219 0.805
0.483 0.748 0.800
0.966 0.748 0.795
0.409 0.062 0.793
0.902 0.049 0.797
0.396 0.000 0.679
0.925 0.000 0.687
0.097 0.184 0.694
0.601 0.217 0.704
0.011 0.820 0.683
0.502 0.785 0.695
0.405 0.853 0.198
0.860 0.806 0.198
0.024 0.265 0.189
0.517 0.214 0.193
0.106 0.956 0.204
0.585 0.983 0.202
0.438 0.366 0.635
0.927 0.341 0.636
0.251 0.161 0.636
0.751 0.153 0.634
0.340 0.512 0.636
0.822 0.519 0.636
0.441 0.519 0.141
0.946 0.564 0.141
0.338 0.146 0.144
0.808 0.051 0.138
0.253 0.334 0.142
0.721 0.363 0.141
0.225 0.337 0.025
0.705 0.292 0.025
0.440 0.587 0.038
0.945 0.558 0.036
0.356 0.123 0.040
0.837 0.112 0.035
0.242 0.176 0.519
0.757 0.184 0.518
0.334 0.519 0.530
0.851 0.538 0.531
0.419 0.337 0.531
0.926 0.322 0.531
0.285 0.674 0.967
0.754 0.669 0.972
0.065 0.453 0.974
0.578 0.496 0.971
0.171 0.888 0.967
0.666 0.854 0.974
0.293 0.883 0.468
0.752 0.840 0.471
0.169 0.454 0.465
0.656 0.468 0.468
0.067 0.674 0.479
0.579 0.720 0.470
0.073 0.633 0.363
0.562 0.626 0.359
0.262 0.873 0.365
0.761 0.872 0.365
0.181 0.477 0.360
0.673 0.470 0.363
0.057 0.439 0.855
0.568 0.454 0.853
0.171 0.902 0.861
0.667 0.890 0.869
0.280 0.672 0.862
0.776 0.681 0.867
0.014 0.820 0.414
0.509 0.841 0.402
0.408 0.987 0.401
0.887 0.978 0.427
0.106 0.202 0.411
0.593 0.203 0.416
0.010 0.169 0.921
0.521 0.194 0.924
0.089 0.991 0.919
0.582 0.963 0.930
0.413 0.801 0.914
0.895 0.815 0.930
0.481 0.200 0.578
0.980 0.174 0.586
0.091 0.037 0.590
0.608 0.038 0.570
0.409 0.776 0.580
0.913 0.790 0.584
0.499 0.814 0.105
0.000 0.822 0.083
0.415 0.014 0.104
0.900 0.976 0.082
0.092 0.169 0.093
0.571 0.150 0.097
0.342 0.196 0.732
0.842 0.169 0.729
0.242 0.320 0.728
0.747 0.322 0.734
0.408 0.507 0.739
0.906 0.495 0.724
0.343 0.522 0.236
0.809 0.490 0.250
0.413 0.317 0.242
0.921 0.350 0.249
0.248 0.155 0.241
0.720 0.130 0.253
0.321 0.497 0.911
0.809 0.510 0.924
0.427 0.345 0.918
0.916 0.328 0.916
0.242 0.156 0.914
0.733 0.132 0.925
0.328 0.138 0.414
0.806 0.119 0.421
0.258 0.368 0.413
0.745 0.367 0.421
0.422 0.496 0.432
0.920 0.475 0.429
0.177 0.498 0.098
0.652 0.489 0.073
0.075 0.666 0.088
0.571 0.653 0.085
0.262 0.874 0.099
0.745 0.822 0.070
0.182 0.880 0.582
0.688 0.869 0.571
0.257 0.615 0.591
0.759 0.638 0.574
0.056 0.479 0.585
0.562 0.508 0.571
0.176 0.856 0.265
0.636 0.830 0.257
0.259 0.687 0.265
0.738 0.680 0.275
0.092 0.511 0.262
0.577 0.464 0.265
0.157 0.454 0.739
0.676 0.479 0.749
0.072 0.659 0.740
0.559 0.637 0.743
0.253 0.864 0.743
0.769 0.827 0.734
```

Energy with MP2020 corrections in eV/atom: -7.04
Space group: P1


No. 2
A plane-wave DFT calculation with PBE was carried out for a relaxed structure of Na6La2Al2Si3S3O24.

Geometry as POSCAR:
```
Na6La2Al2Si3S3O24
1.0
-8.029 -2.817 -3.658
1.857 -1.902 8.701
-9.643 19.974 5.783
Na La Al Si S O
18 6 6 9 9 72
direct
0.637 0.991 0.272
0.350 0.361 0.258
0.643 0.642 0.726
0.973 0.357 0.734
0.029 0.686 0.596
0.674 0.962 0.582
0.314 0.975 0.102
0.022 0.324 0.090
0.972 0.647 0.893
0.703 0.039 0.906
0.950 0.295 0.423
0.351 0.027 0.414
0.970 0.986 0.507
0.983 0.016 0.001
0.670 0.320 0.815
0.679 0.350 0.342
0.319 0.673 0.181
0.332 0.658 0.660
0.002 0.023 0.831
0.995 0.009 0.174
0.676 0.334 0.989
0.345 0.661 0.022
0.353 0.654 0.516
0.318 0.671 0.803
0.996 0.022 0.341
0.956 0.972 0.647
0.686 0.345 0.680
0.662 0.291 0.203
0.676 0.301 0.499
0.320 0.697 0.319
0.300 0.001 0.253
0.015 0.333 0.254
0.984 0.695 0.739
0.690 0.014 0.740
0.957 0.314 0.587
0.680 0.609 0.584
0.666 0.033 0.093
0.025 0.356 0.919
0.644 0.969 0.415
0.684 0.687 0.256
0.315 0.291 0.738
0.385 0.062 0.582
0.969 0.641 0.091
0.368 0.332 0.096
0.652 0.674 0.910
0.321 0.976 0.922
0.316 0.341 0.406
0.042 0.684 0.413
0.175 0.028 0.298
0.811 0.792 0.301
0.973 0.169 0.295
0.268 0.229 0.798
0.983 0.769 0.806
0.780 0.056 0.806
0.818 0.996 0.694
0.189 0.180 0.694
0.994 0.829 0.691
0.728 0.773 0.199
0.075 0.290 0.191
0.218 0.969 0.189
0.858 0.345 0.640
0.493 0.159 0.631
0.663 0.506 0.642
0.853 0.534 0.135
0.662 0.163 0.145
0.469 0.330 0.146
0.450 0.345 0.039
0.903 0.579 0.030
0.669 0.109 0.028
0.468 0.143 0.525
0.692 0.496 0.527
0.843 0.277 0.526
0.565 0.679 0.964
0.111 0.444 0.983
0.326 0.898 0.978
0.589 0.871 0.476
0.276 0.407 0.460
0.134 0.717 0.469
0.146 0.661 0.367
0.495 0.859 0.365
0.340 0.453 0.357
0.132 0.471 0.865
0.339 0.877 0.873
0.562 0.681 0.858
0.024 0.834 0.400
0.830 0.005 0.393
0.161 0.170 0.398
0.995 0.164 0.917
0.161 0.972 0.918
0.820 0.825 0.914
0.971 0.140 0.595
0.219 0.043 0.582
0.851 0.803 0.587
0.008 0.819 0.094
0.838 0.025 0.097
0.205 0.173 0.092
0.666 0.175 0.728
0.483 0.317 0.730
0.814 0.508 0.738
0.669 0.515 0.251
0.834 0.328 0.249
0.491 0.175 0.253
0.668 0.520 0.908
0.840 0.344 0.913
0.463 0.149 0.918
0.653 0.162 0.426
0.460 0.317 0.413
0.883 0.524 0.413
0.338 0.478 0.103
0.129 0.636 0.097
0.489 0.855 0.098
0.370 0.889 0.582
0.528 0.654 0.584
0.134 0.491 0.580
0.338 0.848 0.267
0.517 0.665 0.270
0.176 0.511 0.275
0.326 0.463 0.736
0.139 0.656 0.731
0.522 0.830 0.738
```

Energy with MP2020 corrections in eV/atom: -7.02
Space group: P1


No. 3
A plane-wave DFT calculation with PBE was carried out for a relaxed structure of LaNdAl6.

Geometry as POSCAR:
```
LaNdAl6
1.0
3.330 -5.767 0.000
3.330 5.767 0.000
0.000 0.000 4.527
La Nd Al
1 1 6
direct
0.333 0.667 0.000
0.667 0.333 0.500
0.859 0.141 0.000
0.859 0.717 0.000
0.283 0.141 0.000
0.140 0.860 0.500
0.140 0.280 0.500
0.720 0.860 0.500
```

Space group: P-6m2


No. 4
A plane-wave DFT calculation with PBE was carried out for a relaxed structure of LaAl3Ni2.

Geometry as POSCAR:
```
LaAl3Ni2
1.0
-0.109 -0.526 -6.406
-3.900 -4.650 2.120
-3.975 3.243 -0.198
La Al Ni
2 6 4
direct
0.653 0.653 0.250
0.347 0.347 0.750
0.060 0.060 0.250
0.940 0.940 0.750
0.082 0.475 0.250
0.918 0.525 0.750
0.475 0.082 0.250
0.525 0.918 0.750
0.799 0.201 0.000
0.201 0.799 0.000
0.201 0.799 0.500
0.799 0.201 0.500
```

Space group: Cmcm


No. 5
A plane-wave DFT calculation with PBE was carried out for a relaxed structure of La5Al3Ni2.

Geometry as POSCAR:
```
La5Al3Ni2
1.0
0.061 6.654 4.294
-6.217 -4.397 -2.176
0.938 -5.664 8.766
La Al Ni
10 6 4
direct
0.875 0.125 0.000
0.476 0.041 0.250
0.125 0.875 0.500
0.125 0.875 0.000
0.524 0.959 0.750
0.875 0.125 0.500
0.390 0.390 0.750
0.959 0.524 0.750
0.041 0.476 0.250
0.610 0.610 0.250
0.882 0.882 0.750
0.353 0.647 0.000
0.353 0.647 0.500
0.118 0.118 0.250
0.647 0.353 0.000
0.647 0.353 0.500
0.670 0.670 0.561
0.670 0.670 0.939
0.330 0.330 0.061
0.330 0.330 0.439
```

Space group: Cmcm


No. 6
A plane-wave DFT calculation with PBE was carried out for a relaxed structure of LaAl5Ni2.

Geometry as POSCAR:
```
LaAl5Ni2
1.0
3.154 -2.391 -4.910
3.896 -3.910 3.051
-6.078 0.972 -1.371
La Al Ni
1 5 2
direct
0.000 0.000 0.000
0.500 0.000 0.500
0.849 0.660 0.189
0.529 0.340 0.189
0.471 0.660 0.811
0.151 0.340 0.811
0.737 0.237 0.500
0.263 0.763 0.500
```

Space group: Immm


In order of appearance, ρ = 3.0, 3.1, 4.3, 5.5, 5.8, 4.7 g/cm³.
In order of appearance, calculated formation energy = -20017, -10437, -336, -365, -386, -469 kJ/mol of formula units.